4
Lattice="-2.147 2.147 3.876 2.147 -2.147 3.876 2.147 2.147 -3.876" Properties=species:S:1:pos:R:3 comment="Pd3I GGA-PBE relaxed" total_energy_ev_per_atom=-4.1046 vol_a3_per_fu=71 pbc="T T T"
Pd 0.000 0.000 3.876
I 0.000 0.000 0.000
Pd 2.147 0.000 1.938
Pd 0.000 2.147 1.938

9
Lattice="-2.082 -7.792 -0.707 -7.815 -2.086 -0.363 -3.141 -2.737 -6.942" Properties=species:S:1:pos:R:3 comment="Rb2PdI6 GGA-PBE relaxed" total_energy_ev_per_atom=-2.5619 vol_a3_per_fu=375 pbc="T T T"
I -7.198 -4.096 -2.097
Rb -3.259 -3.154 -2.003
Pd 0.000 0.000 0.000
I -5.840 -8.519 -5.914
Rb -9.778 -9.462 -6.008
I -4.194 -7.085 -2.277
I -4.750 -4.437 -5.544
I -8.843 -5.530 -5.734
I -8.288 -8.178 -2.467

36
Lattice="8.330 0.000 0.000 0.000 12.658 0.000 0.000 0.000 14.682" Properties=species:S:1:pos:R:3 comment="Rb2PdI6 GGA-PBE relaxed" total_energy_ev_per_atom=-2.5722 vol_a3_per_fu=387 pbc="T T T"
I 3.749 3.165 6.047
I 1.963 6.822 1.547
Rb 2.410 0.200 12.641
I 4.581 9.494 8.634
I 4.053 3.165 14.616
Rb 5.920 6.529 2.041
Rb 5.920 12.458 2.041
I 6.367 0.493 13.135
Pd 6.111 9.494 5.906
Rb 6.574 0.200 9.382
Rb 6.574 6.129 9.382
Rb 2.410 6.129 12.641
Rb 1.755 12.458 5.300
I 4.276 9.494 0.066
I 2.202 5.836 8.888
Pd 1.946 9.494 1.435
I 4.121 3.165 3.181
Pd 2.218 3.165 8.776
I 0.111 9.494 7.275
I 0.416 9.494 13.388
I 6.367 5.836 13.135
I 2.202 0.493 8.888
I 7.914 3.165 1.294
I 8.151 9.494 3.025
I 4.344 3.165 10.366
I 6.128 12.165 5.794
I 0.179 3.165 11.657
I 8.218 3.165 7.407
I 4.209 9.494 11.501
Rb 1.755 6.529 5.300
Pd 6.383 3.165 13.246
I 0.044 9.494 10.522
I 6.128 6.822 5.794
I 1.963 12.165 1.547
I 3.986 9.494 4.316
I 8.286 3.165 4.160

8
Lattice="-3.352 0.808 2.210 1.977 -4.690 4.978 5.311 4.471 7.975" Properties=species:S:1:pos:R:3 comment="TePdI2 GGA-PBE relaxed" total_energy_ev_per_atom=-3.0955 vol_a3_per_fu=142 pbc="T T T"
I 0.165 0.863 6.056
Te 2.940 2.224 11.107
Pd 4.212 1.445 13.284
I 0.417 -3.187 7.670
Te 0.996 -1.634 4.056
I 3.519 3.776 7.493
I 3.772 -0.274 9.108
Pd -0.275 -0.856 1.879

8
Lattice="4.439 0.000 0.000 0.914 7.194 0.000 1.492 3.269 8.564" Properties=species:S:1:pos:R:3 comment="TePdI2 GGA-PBE relaxed" total_energy_ev_per_atom=-3.0874 vol_a3_per_fu=137 pbc="T T T"
I 4.462 3.518 3.665
Pd 5.437 8.641 8.529
I 4.020 7.571 1.614
Pd 1.408 1.822 0.034
I 2.383 6.946 4.899
Te 5.441 6.342 7.281
Te 1.404 4.122 1.283
I 2.824 2.893 6.949

12
Lattice="-5.730 5.605 1.227 -5.597 -5.079 -2.938 -0.888 -2.055 5.243" Properties=species:S:1:pos:R:3 comment="TePdI GGA-PBE relaxed" total_energy_ev_per_atom=-3.6027 vol_a3_per_fu=94 pbc="T T T"
Pd -4.302 4.208 0.921
Te -4.971 3.402 3.591
I -4.165 1.623 -0.069
I -7.163 -1.097 -1.643
I -7.642 0.737 2.094
Pd -1.839 -2.293 1.889
Te -1.646 0.149 2.879
Pd -1.428 1.397 0.306
Pd -4.646 -4.840 0.416
I -4.573 -2.265 1.437
Te -4.423 -4.013 -2.322
Te -1.175 -1.066 -0.617

2
Lattice="0.139 1.657 3.534 -1.092 -3.731 -0.366 4.527 -1.370 0.465" Properties=species:S:1:pos:R:3 comment="PmI GGA-PBE relaxed" total_energy_ev_per_atom=-4.0511 vol_a3_per_fu=63 pbc="T T T"
I 1.992 -0.825 2.466
Pm -0.682 -1.935 0.934

8
Lattice="-10.506 -2.560 2.803 3.830 -2.504 -10.191 1.272 -3.700 1.387" Properties=species:S:1:pos:R:3 comment="PrI3 GGA-PBE relaxed" total_energy_ev_per_atom=-3.7474 vol_a3_per_fu=224 pbc="T T T"
I -0.280 -2.516 -3.347
I 1.135 -3.441 -7.113
Pr 0.005 -5.298 -4.819
I -2.657 -4.377 0.077
I -5.124 -6.249 -2.653
Pr -5.409 -3.467 -1.181
I -6.539 -5.324 1.113
I -2.747 -4.387 -6.077

8
Lattice="3.574 -6.190 0.000 3.574 6.190 0.000 0.000 0.000 5.865" Properties=species:S:1:pos:R:3 comment="Pr3I GGA-PBE relaxed" total_energy_ev_per_atom=-4.1265 vol_a3_per_fu=130 pbc="T T T"
Pr 5.359 -1.033 4.399
I 3.574 2.063 4.399
Pr 3.574 4.125 1.466
I 3.574 -2.063 1.466
Pr 3.574 -4.125 4.399
Pr 5.359 1.033 1.466
Pr 1.789 1.033 1.466
Pr 1.789 -1.033 4.399

12
Lattice="0.000 6.310 6.310 6.310 0.000 6.310 6.310 6.310 0.000" Properties=species:S:1:pos:R:3 comment="PrI2 GGA-PBE relaxed" piezo_max_c_m2=0.089 total_energy_ev_per_atom=-3.9296 vol_a3_per_fu=126 pbc="T T T"
I 1.561 1.561 1.561
I 1.561 4.749 4.749
Pr 10.868 10.868 10.868
I 4.749 1.561 4.749
I 4.893 4.893 7.726
I 4.749 4.749 1.561
Pr 8.061 8.061 10.868
I 7.726 7.726 7.726
I 7.726 4.893 4.893
I 4.893 7.726 4.893
Pr 10.868 8.061 8.061
Pr 8.061 10.868 8.061

28
Lattice="-1.106 -8.385 -6.985 -6.284 -1.736 8.821 -3.102 9.296 -4.927" Properties=species:S:1:pos:R:3 comment="Pr3PtI3 GGA-PBE relaxed" total_energy_ev_per_atom=-4.8161 vol_a3_per_fu=254 pbc="T T T"
Pr -1.117 2.272 -1.115
Pr -5.724 -1.434 3.596
Pr -4.628 1.736 0.085
Pr -1.807 -0.622 2.000
Pr -3.398 -0.151 -3.587
I -7.342 3.484 1.287
Pr -2.446 -1.865 -7.422
Pr -0.553 -1.924 -1.909
I -6.928 -0.777 0.595
Pr -5.306 -5.135 3.166
I -6.117 1.836 -2.859
Pt -3.418 -2.964 2.665
I -8.085 0.906 4.500
I -4.744 0.394 -6.711
Pr -3.111 -4.174 -4.545
Pr -5.363 5.969 0.394
I -5.210 4.525 -6.230
I -5.066 -6.875 -3.676
I -6.276 -5.321 0.017
I -9.580 -3.128 -1.905
Pr -4.234 -2.549 -0.108
Pt -1.329 -1.868 -4.724
I -10.105 1.202 -1.278
I -5.660 -2.530 -3.244
Pt -3.122 4.214 -0.258
I -8.827 -0.316 -5.213
Pt -2.623 -0.206 -0.772
Pr -4.280 4.577 -2.914

28
Lattice="3.957 8.051 0.000 -3.957 8.051 0.000 0.000 1.533 10.828" Properties=species:S:1:pos:R:3 comment="Pr3Si2S8I GGA-PBE relaxed" total_energy_ev_per_atom=-5.7257 vol_a3_per_fu=345 pbc="T T T"
S -1.214 9.855 4.951
S 0.547 4.420 6.343
S -0.547 3.653 0.929
Pr 0.970 3.690 3.450
S -1.935 6.709 7.010
S -0.783 10.707 1.747
Si 0.293 5.524 0.318
S -0.547 13.215 4.485
Si -0.293 12.110 10.510
Pr 0.775 8.434 2.707
S -0.783 6.161 3.667
I -3.851 8.434 2.707
S 1.214 10.622 10.365
Pr -0.970 4.457 8.864
S 1.935 10.926 3.818
S -1.935 11.692 9.232
Pr 0.970 13.178 1.964
S 0.783 11.474 7.161
S 1.935 5.942 1.596
S 0.547 13.982 9.899
S 0.783 6.928 9.081
S -1.214 7.013 0.463
Pr -0.775 9.201 8.121
I 3.851 9.201 8.121
Si 0.293 11.344 5.096
Si -0.293 6.291 5.732
S 1.214 7.780 5.877
Pr -0.970 13.944 7.378

6
Lattice="2.091 -3.621 0.000 2.091 3.621 0.000 0.000 0.000 12.034" Properties=species:S:1:pos:R:3 comment="PrSiI GGA-PBE relaxed" total_energy_ev_per_atom=-4.9845 vol_a3_per_fu=91 pbc="T T T"
Pr 0.000 0.000 2.024
Si 2.091 -1.207 11.977
Pr 0.000 0.000 10.010
Si 2.091 1.207 0.057
I 2.091 1.207 7.855
I 2.091 -1.207 4.179

44
Lattice="-7.137 -4.326 8.635 -7.613 -4.086 -8.340 5.490 -9.636 -0.290" Properties=species:S:1:pos:R:3 comment="Pt3I8 GGA-PBE relaxed" piezo_max_c_m2=0.006 total_energy_ev_per_atom=-2.9147 vol_a3_per_fu=400 pbc="T T T"
I -1.444 -10.705 0.093
Pt -3.672 -14.833 4.067
I -4.448 -5.633 -4.071
I -1.496 -10.525 4.009
I -11.457 -9.603 0.463
I -5.059 -12.168 0.174
I -0.532 -3.635 0.241
I -0.787 -6.862 1.834
I 1.832 -11.332 -2.633
I -8.615 -14.612 -0.242
Pt -12.898 -7.356 0.258
I -7.622 -4.411 -2.116
I -0.870 -6.850 -1.981
I -3.249 -2.244 2.481
Pt -3.197 -11.464 2.061
Pt -2.125 -4.622 2.111
Pt -6.062 -6.585 -2.056
I -7.558 -7.796 -0.102
Pt 0.369 -9.147 -2.257
Pt -2.609 -8.152 4.131
I 2.085 -8.247 -0.452
I -4.269 -9.019 2.260
I -4.787 -12.458 4.074
I -8.130 -7.631 4.099
I -4.509 -8.756 -2.265
I -5.752 -15.963 -1.973
I -2.118 -13.912 2.130
Pt 0.893 -5.874 -0.108
I -3.652 -5.712 4.000
I -7.787 -7.481 -4.003
Pt -9.263 -5.312 -3.988
I -2.020 -13.423 -6.695
I -1.403 -9.938 -4.079
I -8.620 -11.055 2.507
I -6.885 -4.424 6.692
Pt -2.975 -7.801 -4.200
I -5.334 -12.816 -4.010
I -11.111 -6.422 2.130
I -4.752 -8.992 6.568
Pt -9.761 -8.669 2.268
I -4.458 -5.429 -0.156
Pt -7.002 -13.660 -2.113
I -4.862 -9.259 -6.556
I -8.482 -11.467 -2.346

44
Lattice="-3.339 6.804 -8.102 -8.956 3.913 6.977 7.137 8.640 4.315" Properties=species:S:1:pos:R:3 comment="Pt3I8 GGA-PBE relaxed" total_energy_ev_per_atom=-2.9178 vol_a3_per_fu=400 pbc="T T T"
I -0.686 13.521 4.419
Pt -0.162 11.678 6.259
I -5.840 8.228 5.552
I -3.122 5.921 6.102
I 3.692 11.495 0.892
I -3.349 12.705 1.012
Pt -1.591 10.978 9.874
Pt 0.683 5.455 0.318
I -10.363 10.945 -1.374
Pt -6.265 6.872 0.940
I -6.518 15.770 0.771
I -5.440 12.512 4.774
I 1.847 10.704 4.808
I -2.223 9.509 4.747
I -0.850 3.524 -0.646
I 1.785 3.782 2.063
I -3.092 10.167 -1.938
I -8.894 8.164 2.568
I -0.295 6.959 -1.597
I 5.249 8.111 4.292
Pt -5.129 6.762 7.609
I -6.839 8.314 -1.215
Pt -1.394 11.973 -0.765
I -2.096 13.846 -2.544
I 0.273 13.950 0.175
I -1.652 6.333 2.557
I 0.422 10.058 8.239
I -5.446 5.437 2.979
I -4.663 8.773 1.849
Pt -3.765 7.384 3.954
I 2.200 7.465 1.186
Pt 1.560 9.358 -0.564
I -3.926 5.927 -1.034
Pt -0.482 15.724 -1.606
I 0.696 11.100 -2.327
Pt -5.922 14.066 2.675
I -5.975 8.900 -4.877
I -0.436 10.175 0.972
I -7.524 12.232 1.600
Pt -4.916 7.515 -2.874
Pt -1.898 4.978 -2.634
I -2.114 12.586 7.799
I -2.975 6.631 -4.443
I -4.378 15.974 3.668

16
Lattice="-0.835 -3.701 6.022 -0.753 -3.207 -6.309 12.362 -5.579 -0.142" Properties=species:S:1:pos:R:3 comment="PtI3 GGA-PBE relaxed" total_energy_ev_per_atom=-2.8076 vol_a3_per_fu=146 pbc="T T T"
I 10.413 -5.664 -0.908
I 7.040 -6.152 -3.241
Pt 2.264 -5.048 4.794
I 0.362 -6.824 0.480
I 6.553 -9.554 -1.089
I 3.615 -6.595 -1.504
Pt 8.510 -7.440 -5.222
I 9.955 -8.882 -3.331
I 0.994 -3.002 -1.378
Pt -0.377 -1.604 -3.154
I 0.819 -3.605 2.902
I 7.159 -5.893 1.076
I 3.734 -6.336 2.812
I 9.780 -9.485 0.949
Pt 5.764 -4.640 2.940
I 4.222 -2.934 0.661

17
Lattice="7.724 0.000 0.000 -2.501 9.404 0.000 -1.193 -3.342 9.095" Properties=species:S:1:pos:R:3 comment="Y6PtI10 GGA-PBE relaxed" total_energy_ev_per_atom=-4.8544 vol_a3_per_fu=661 pbc="T T T"
Pt 0.000 0.000 0.000
Y -2.656 3.639 8.298
I 2.726 2.687 6.602
I 1.303 3.375 2.493
I -1.243 0.764 7.454
I 2.686 -1.311 8.254
Y 6.686 2.424 0.796
Y 4.147 8.221 2.215
I 1.344 7.373 0.841
I -0.949 4.772 5.906
I 1.250 -0.719 4.227
I 4.979 1.291 3.189
I 5.273 5.299 1.641
Y -0.117 -2.158 6.880
I 2.780 6.781 4.868
Y 2.199 0.642 1.519
Y 1.831 5.420 7.576